PBE-GGA FeCo2Se4, optimized geometry; space-group type = C2/m (12); ΔE to the lowest computed polymorph = 0 meV/atom; formation energy from the elements = -52.40 kJ per mole of atoms; E_tot = -5.51 eV per atom
1.0
1.7755 6.0993 0.0000
-1.7755 6.0993 0.0000
0.0000 3.0819 5.3791
Se Co Fe
4 2 1
Direct
0.1259 0.1259 0.5454
0.8741 0.8741 0.4546
0.3624 0.3624 0.9757
0.6376 0.6376 0.0243
0.2610 0.2610 0.7206
0.7390 0.7390 0.2794
0.0000 0.0000 0.0000

***

PBE-GGA FeCo2Se4, optimized geometry; space-group type = Cm (8); ΔE to the lowest computed polymorph = 24 meV/atom; formation energy from the elements = -50.13 kJ per mole of atoms; E_tot = -5.49 eV per atom
1.0
3.9365 0.4817 4.7884
5.5118 2.0362 2.0326
0.0840 5.3171 3.0473
Se Co Fe
4 2 1
Direct
0.3648 0.3648 0.9748
0.1175 0.1175 0.5517
0.8822 0.8822 0.4513
0.6347 0.6347 0.0224
0.2633 0.2633 0.7097
0.9976 0.9976 0.0024
0.7399 0.7399 0.2877

***

PBE-GGA FeCoSi2, optimized geometry; space-group type = P2_1 (4); formation energy from the elements = -50.57 kJ per mole of atoms; E_tot = -7.17 eV per atom
1.0
4.4382 0.0000 0.0000
0.0000 4.4444 0.0000
0.0000 0.0109 4.4518
Si Fe Co
4 2 2
Direct
0.8434 0.6584 0.4121
0.1589 0.8437 0.9053
0.6589 0.1563 0.0947
0.3434 0.3416 0.5879
0.3591 0.8583 0.3863
0.8591 0.1417 0.6137
0.6386 0.6373 0.8939
0.1386 0.3627 0.1061

***

PBE-GGA UFe5Co5Si2, optimized geometry; space-group type = Cm (8); formation energy from the elements = -14.98 kJ per mole of atoms; E_tot = -7.86 eV per atom
1.0
-1.8035 -2.0528 3.9755
3.7649 0.5338 4.9104
-1.5942 5.9713 -0.5668
Fe Si Co U
5 2 5 1
Direct
0.4982 0.0031 0.4976
0.9963 0.0031 0.4976
0.7219 0.7768 0.2207
0.2795 0.2187 0.7776
0.5010 0.7741 0.7761
0.0025 0.4975 0.0016
0.5016 0.4975 0.0016
0.4973 0.2297 0.2244
0.6558 0.3480 0.6596
0.3442 0.6543 0.3427
0.9963 0.3491 0.3417
0.0044 0.6493 0.6580
0.0009 0.9988 0.0007